1.
Material: KHgC2N2ClO
Method: DFT, PBE
State: relaxed

```
KHgC2N2ClO
1.0
8.9889 0.0000 0.0000
0.0000 4.4266 0.0000
0.0000 0.0000 18.2126
K Hg C N Cl O
4 4 8 8 4 4
Direct
0.2368 0.2500 0.0144
0.2632 0.7500 0.5144
0.7368 0.2500 0.4856
0.7632 0.7500 0.9856
0.0163 0.2500 0.7489
0.4837 0.7500 0.2489
0.5163 0.2500 0.7511
0.9837 0.7500 0.2511
0.0172 0.7500 0.1399
0.0518 0.2500 0.6381
0.4482 0.7500 0.1381
0.4828 0.2500 0.6399
0.5172 0.7500 0.3601
0.5518 0.2500 0.8619
0.9482 0.7500 0.3619
0.9828 0.2500 0.8601
0.0383 0.7500 0.0767
0.0767 0.2500 0.5752
0.4233 0.7500 0.0752
0.4617 0.2500 0.5767
0.5383 0.7500 0.4233
0.5767 0.2500 0.9248
0.9233 0.7500 0.4248
0.9617 0.2500 0.9233
0.2344 0.2500 0.2787
0.2656 0.7500 0.7787
0.7344 0.2500 0.2213
0.7656 0.7500 0.7213
0.2351 0.2500 0.4125
0.2649 0.7500 0.9125
0.7351 0.2500 0.0875
0.7649 0.7500 0.5875
```

Results
The symmetry is Pnma, No. 62.

=====

2.
Material: HgC4NCl3
Method: DFT, PBE
State: relaxed

```
HgC4NCl3
1.0
7.5788 0.0000 0.0000
0.0000 15.6638 0.0000
-0.7750 0.0000 10.0502
Hg C N Cl
4 16 4 12
Direct
0.0136 0.0000 0.3763
0.4239 0.5139 0.7514
0.5761 0.0139 0.2486
0.9864 0.5000 0.6237
0.0457 0.8699 0.8026
0.0724 0.9320 0.9066
0.1841 0.3174 0.3731
0.2062 0.8755 0.8684
0.3891 0.1446 0.9131
0.3977 0.7019 0.5201
0.4167 0.6757 0.2779
0.4826 0.1590 0.8186
0.5174 0.6590 0.1814
0.5833 0.1757 0.7221
0.6023 0.2019 0.4799
0.6109 0.6446 0.0869
0.7938 0.3755 0.1316
0.8159 0.8174 0.6269
0.9276 0.4320 0.0934
0.9543 0.3699 0.1974
0.0718 0.3386 0.2902
0.4067 0.6897 0.4023
0.5933 0.1897 0.5977
0.9282 0.8386 0.7098
0.0740 0.1146 0.5145
0.0883 0.3847 0.7523
0.2485 0.1220 0.0193
0.2482 0.6013 0.8703
0.4010 0.9301 0.3736
0.4170 0.8460 0.8958
0.5830 0.3460 0.1042
0.5990 0.4301 0.6264
0.7518 0.1013 0.1297
0.7515 0.6220 0.9807
0.9117 0.8847 0.2477
0.9260 0.6146 0.4855
```

Results
Its polymorph energy (0 for the lowest one) is 0.21 eV/f.u. The symmetry is P2_1, No. 4.

=====

| no. | E_form (eV per formula unit) | M_tot (μB/f.u.) |
| --- | --- | --- |
| 1 | 0.7 | 2.00 |
| 2 | 3.7 | 1.00 |